# GGA+U MgV4O7F5, relaxed
# - Energy relative to the elements: -46.02 eV per formula unit
# - SG: No. 1
# - Electronic total energy: -114.24 eV for the cell shown
# - Relative energy among the computed polymorphs: 0.016 eV/atom
data_MgV4O7F5
_chemical_formula_sum 'Mg1 V4 O7 F5'
_space_group_name_H-M_alt 'P 1'
_space_group_IT_number 1
_space_group_name_Hall 'P 1'
_cell_length_a 5.139
_cell_length_b 5.378
_cell_length_c 7.591
_cell_angle_alpha 86.83
_cell_angle_beta 88.01
_cell_angle_gamma 87.29
loop_
_atom_site_label
_atom_site_fract_x
_atom_site_fract_y
_atom_site_fract_z
_atom_site_occupancy
Mg1 0.000 0.000 0.000 1
V1 0.017 0.592 0.268 1
V2 0.502 0.094 0.302 1
V3 0.528 0.096 0.766 1
V4 0.957 0.571 0.770 1
O1 0.098 0.611 0.048 1
O2 0.221 0.294 0.327 1
O3 0.593 0.092 0.548 1
O4 0.731 0.804 0.847 1
O5 0.801 0.921 0.230 1
O6 0.815 0.286 0.849 1
O7 0.912 0.588 0.555 1
F1 0.199 0.907 0.763 1
F2 0.305 0.788 0.347 1
F3 0.309 0.416 0.756 1
F4 0.371 0.092 0.032 1
F5 0.705 0.406 0.248 1